# GaCuSeS, relaxed, DFT PBE
data_GaCuSeS
_cell_length_a 5.471
_cell_length_b 5.478
_cell_length_c 10.868
_cell_angle_alpha 90.00
_cell_angle_beta 90.00
_cell_angle_gamma 90.00
_space_group_name_H-M_alt 'I 21 21 21'
_space_group_IT_number 24
loop_
_space_group_symop_operation_xyz
'x,y,z'
'-x,-y+1/2,z'
'x,-y,-z+1/2'
'-x,y+1/2,-z+1/2'
'x+1/2,y+1/2,z+1/2'
'-x+1/2,-y,z+1/2'
'x+1/2,-y+1/2,-z'
'-x+1/2,y,-z'
loop_
_atom_site_label
_atom_site_type_symbol
_atom_site_fract_x
_atom_site_fract_y
_atom_site_fract_z
Ga1 Ga 0.000 0.250 0.120
Cu1 Cu 0.000 0.250 0.614
Se1 Se 0.242 0.500 0.750
S1 S 0.250 0.001 0.000
# Size of the total moment = 0.00 Bohr magnetons per cell
# E_form = -0.6410 eV/atom